No. 1
VASP calculation (GGA-PBE) on crystalline NaTh3F13 at its relaxed geometry.

```
68
Lattice="-1.679 6.669 -4.784 -5.733 -6.037 0.931 -6.295 8.050 13.431" Properties=species:S:1:pos:R:3 pbc="T T T"
F -5.684 3.577 2.413
F -5.802 7.419 12.378
F -10.765 8.410 8.167
F -5.453 6.293 7.228
F -2.654 3.394 5.663
Th -10.641 3.213 11.890
F -7.855 2.639 6.436
Th -3.946 4.326 3.757
F -4.337 2.055 4.386
F -4.989 0.425 -2.593
F -6.847 8.076 10.204
Th -8.920 1.012 8.218
F -3.356 2.850 -2.184
F -8.023 5.105 7.164
F -3.696 6.205 5.151
F -8.529 4.046 11.401
Th -7.661 4.643 1.826
F -7.367 -1.136 4.878
F -8.136 4.450 4.122
F -4.544 2.119 -0.018
F -1.130 4.489 -3.220
F -5.852 6.042 3.142
F -8.254 2.389 2.350
F -3.521 5.855 2.062
Th -5.940 2.443 -1.845
Na -6.710 1.175 3.993
Na -8.506 9.435 8.803
F -7.390 2.588 8.970
F -9.163 6.562 9.596
Th -6.046 4.038 7.752
F -7.752 8.471 7.194
F -0.549 2.180 -1.564
F -5.955 0.211 2.384
Th -7.767 6.239 11.423
F -1.874 -1.974 0.304
F -4.278 8.514 3.495
Na -6.997 7.507 5.585
F -5.571 4.231 5.456
F -10.351 5.832 11.762
F -11.326 4.284 9.947
F -2.942 0.271 1.411
F -9.895 1.755 10.215
F -5.178 4.636 -1.824
F -7.171 3.391 -0.092
F -2.423 0.207 -1.260
Th -9.762 4.355 5.820
Th -2.225 2.126 0.086
F -9.370 6.627 5.191
F -2.381 4.397 -0.370
F -5.022 2.051 7.020
F -6.340 9.818 4.699
F -3.812 6.927 -0.637
Th -4.787 7.669 1.360
F -7.006 -0.039 7.342
F -2.829 3.021 2.165
F -5.972 -2.920 1.903
F -6.860 0.605 -0.626
F -10.878 5.661 7.413
F -10.187 2.827 7.516
F -0.493 0.631 1.052
F -3.859 -4.063 0.627
Th -3.066 5.469 -2.312
F -6.537 5.291 9.670
Th -11.482 6.556 9.492
F -3.641 4.655 7.768
F -6.317 6.093 0.608
Na -5.201 -0.754 0.775
F -7.735 11.601 7.675
```

***

No. 2
VASP calculation (GGA-PBE) on crystalline Mn4Te3N2 at its relaxed geometry.

```
36
Lattice="6.423 0.000 0.000 0.000 10.680 0.000 0.000 0.000 9.726" Properties=species:S:1:pos:R:3 pbc="T T T"
Mn 1.952 10.592 9.138
Mn 4.442 8.010 9.016
N 3.386 6.620 9.573
Te 0.580 8.010 8.209
Te 3.690 9.924 3.214
Mn 5.193 2.670 4.153
Mn 1.952 5.428 9.138
Te 5.843 2.670 1.517
Te 0.478 9.924 1.649
Te 0.478 6.096 1.649
N 3.386 9.400 9.573
Mn 1.231 8.010 5.574
Mn 2.215 8.010 0.568
Mn 4.471 5.252 0.588
Te 5.945 0.756 8.077
Mn 0.996 2.670 5.431
Mn 5.164 10.592 5.451
Mn 1.259 0.088 4.275
Mn 4.208 2.670 9.158
Te 2.734 4.584 6.512
Mn 5.164 5.428 5.451
N 3.037 4.060 0.153
N 0.174 6.620 5.016
Mn 1.981 2.670 0.710
N 6.249 1.280 4.710
N 0.174 9.400 5.016
Mn 4.471 0.088 0.588
Mn 5.427 8.010 4.295
Te 3.690 6.096 3.214
N 3.037 1.280 0.153
Te 2.734 0.756 6.512
Te 5.945 4.584 8.077
Mn 1.259 5.252 4.275
N 6.249 4.060 4.710
Te 2.631 2.670 3.346
Te 3.792 8.010 6.380
```

***

| no. | DFT formation energy (eV per formula unit) |
| --- | --- |
| 1 | -72.52 |
| 2 | -1.59 |